# 1
! DyErCu2 PBE optimized geometry; values from VASP
! Energy of formation from the pure elements (eV/atom): -0.257
! Theoretical density (kg/m3): 9467
&SYSTEM
  ibrav = 0, nat = 4, ntyp = 3
/
ATOMIC_SPECIES
Dy 162.50 Dy.upf
Er 167.26 Er.upf
Cu 63.55 Cu.upf
CELL_PARAMETERS angstrom
0.0000 3.4219 3.4219
3.4219 0.0000 3.4219
3.4219 3.4219 0.0000
ATOMIC_POSITIONS crystal
Dy 0.0000 0.0000 0.0000
Er 0.5000 0.5000 0.5000
Cu 0.2500 0.2500 0.2500
Cu 0.7500 0.7500 0.7500

---

# 2
! Dy2Ga3Cu PBE optimized geometry; values from VASP
! Energy of formation from the pure elements (eV/atom): -0.598
! Theoretical density (kg/m3): 8342
&SYSTEM
  ibrav = 0, nat = 6, ntyp = 3
/
ATOMIC_SPECIES
Dy 162.50 Dy.upf
Ga 69.72 Ga.upf
Cu 63.55 Cu.upf
CELL_PARAMETERS angstrom
4.3705 0.0000 0.0000
-2.1852 3.7850 0.0000
0.0000 0.0000 7.1927
ATOMIC_POSITIONS crystal
Dy 0.0000 0.0000 0.0000
Dy 0.0000 0.0000 0.4702
Ga 0.3333 0.6667 0.2149
Ga 0.3333 0.6667 0.7848
Ga 0.6667 0.3333 0.6900
Cu 0.6667 0.3333 0.2758

---

# 3
! DyGa3Cu PBE optimized geometry; values from VASP
! Energy of formation from the pure elements (eV/atom): -0.457
! Theoretical density (kg/m3): 8065
&SYSTEM
  ibrav = 0, nat = 5, ntyp = 3
/
ATOMIC_SPECIES
Dy 162.50 Dy.upf
Ga 69.72 Ga.upf
Cu 63.55 Cu.upf
CELL_PARAMETERS angstrom
-2.0390 2.0390 5.3880
2.0390 -2.0390 5.3880
2.0390 2.0390 -5.3880
ATOMIC_POSITIONS crystal
Dy 0.0000 0.0000 0.0000
Ga 0.3867 0.3867 0.0000
Ga 0.6133 0.6133 0.0000
Ga 0.7500 0.2500 0.5000
Cu 0.2500 0.7500 0.5000